1.
First-principles (r²SCAN) data for a relaxed structure of Fe2SbTe3, as listed in the Materials Project.

a b c (Å): 5.337 3.794 6.313
angles (deg): 90.00 90.84 90.00
Space group Pm (No. 6)
Symmetry-distinct sites (fractional):
Fe 0.000 0.000 0.000 x1
Fe 0.497 0.500 0.502 x1
Sb 0.782 0.000 0.354 x1
Te 0.205 0.000 0.640 x1
Te 0.275 0.500 0.139 x1
Te 0.721 0.500 0.864 x1

* calculated formation energy: -0.032 eV/atom
* uncorrected energy: -21.829 eV per atom
* magnetic moment: 0.9 μB per formula unit

2.
First-principles (r²SCAN) data for a relaxed structure of TiNi3, as listed in the Materials Project.

a b c (Å): 5.0536 5.0536 8.2314
angles (deg): 90.00 90.00 120.00
Space group P6_3/mmc (No. 194)
Symmetry-distinct sites (fractional):
Ti 0.0000 0.0000 0.0000 x2
Ti 0.3333 0.6667 0.2500 x2
Ni 0.0000 0.5000 0.0000 x6
Ni 0.1722 0.3443 0.7500 x6

* calculated formation energy: -0.458 eV/atom
* uncorrected energy: -12.678 eV per atom
* magnetic moment: 0.0 μB per formula unit

3.
First-principles (r²SCAN) data for a relaxed structure of Zr3Bi, as listed in the Materials Project.

a b c (Å): 6.3502 6.3502 5.2737
angles (deg): 90.00 90.00 120.00
Space group P6_3/mmc (No. 194)
Symmetry-distinct sites (fractional):
Zr 0.1637 0.3273 0.2500 x6
Bi 0.3333 0.6667 0.7500 x2

* calculated formation energy: -0.223 eV/atom
* uncorrected energy: -31.911 eV per atom
* magnetic moment: 0.0 μB per formula unit

4.
First-principles (r²SCAN) data for a relaxed structure of Cs3As, as listed in the Materials Project.

a b c (Å): 8.5835 8.5835 5.8557
angles (deg): 90.00 90.00 120.00
Space group P6_3/mmc (No. 194)
Symmetry-distinct sites (fractional):
Cs 0.1852 0.3704 0.2500 x6
As 0.3333 0.6667 0.7500 x2

* calculated formation energy: -0.328 eV/atom
* uncorrected energy: -22.836 eV per atom
* magnetic moment: 0.0 μB per formula unit

5.
First-principles (r²SCAN) data for a relaxed structure of AcPr3, as listed in the Materials Project.

a b c (Å): 7.7082 7.7082 6.0721
angles (deg): 90.00 90.00 120.00
Space group P6_3/mmc (No. 194)
Symmetry-distinct sites (fractional):
Ac 0.3333 0.6667 0.2500 x2
Pr 0.1639 0.3279 0.7500 x6

* calculated formation energy: 0.046 eV/atom
* uncorrected energy: -39.167 eV per atom
* magnetic moment: 0.0 μB per formula unit

6.
First-principles (r²SCAN) data for a relaxed structure of Yb2SmS4, as listed in the Materials Project.

a b c (Å): 8.806 8.806 7.722
angles (deg): 90.00 90.00 90.00
Space group I-42d (No. 122)
Symmetry-distinct sites (fractional):
Yb 0.193 0.750 0.125 x8
Sm 0.000 0.000 0.500 x4
S 0.054 0.691 0.425 x16

* calculated formation energy: -2.261 eV/atom
* uncorrected energy: -21.536 eV per atom
* magnetic moment: 0.0 μB per formula unit

7.
First-principles (r²SCAN) data for a relaxed structure of SmNi2Sn2, as listed in the Materials Project.

a b c (Å): 4.381 4.381 10.391
angles (deg): 90.00 90.00 90.00
Space group I4/mmm (No. 139)
Symmetry-distinct sites (fractional):
Sm 0.000 0.000 0.000 x2
Ni 0.000 0.500 0.250 x4
Sn 0.000 0.000 0.364 x4

* calculated formation energy: -0.477 eV/atom
* uncorrected energy: -21.115 eV per atom
* magnetic moment: 0.0 μB per formula unit

8.
First-principles (r²SCAN) data for a relaxed structure of Ta3Bi2S6, as listed in the Materials Project.

a b c (Å): 5.7502 5.7502 17.4385
angles (deg): 90.00 90.00 120.00
Space group P6_3/mcm (No. 193)
Symmetry-distinct sites (fractional):
Ta 0.0000 0.3264 0.2500 x6
Bi 0.3333 0.6667 0.0000 x4
S 0.0000 0.0000 0.1586 x4
S 0.3333 0.6667 0.1620 x8

* calculated formation energy: -0.994 eV/atom
* uncorrected energy: -29.265 eV per atom
* magnetic moment: 0.0 μB per formula unit

9.
First-principles (r²SCAN) data for a relaxed structure of DyAl3Cl12, as listed in the Materials Project.

a b c (Å): 10.6163 10.6163 15.7236
angles (deg): 90.00 90.00 120.00
Space group P3_112 (No. 151)
Symmetry-distinct sites (fractional):
Dy 0.1718 0.3436 0.1667 x3
Al 0.2081 0.6040 0.0000 x3
Al 0.3034 0.0964 0.2311 x6
Cl 0.0039 0.1761 0.0358 x6
Cl 0.0772 0.5357 0.1130 x6
Cl 0.1282 0.3049 0.5436 x6
Cl 0.1659 0.4990 0.3166 x6
Cl 0.3237 0.1108 0.8891 x6
Cl 0.5048 0.1750 0.2905 x6

* calculated formation energy: -1.898 eV/atom
* uncorrected energy: -9.774 eV per atom
* magnetic moment: 0.0 μB per formula unit

10.
First-principles (r²SCAN) data for a relaxed structure of ScTaOs2, as listed in the Materials Project.

a b c (Å): 6.368 6.368 6.368
angles (deg): 90.00 90.00 90.00
Space group Fm-3m (No. 225)
Symmetry-distinct sites (fractional):
Sc 0.000 0.000 0.000 x4
Ta 0.000 0.000 0.500 x4
Os 0.250 0.250 0.250 x8

* calculated formation energy: -0.623 eV/atom
* uncorrected energy: -42.113 eV per atom
* magnetic moment: 0.0 μB per formula unit

11.
First-principles (r²SCAN) data for a relaxed structure of Nd3Rh2, as listed in the Materials Project.

a b c (Å): 8.8699 8.8699 16.7480
angles (deg): 90.00 90.00 120.00
Space group R-3 (No. 148, hexagonal axes)
Symmetry-distinct sites (fractional):
Nd 0.0000 0.0000 0.0000 x3
Nd 0.0000 0.0000 0.2037 x6
Nd 0.0167 0.7565 0.5931 x18
Rh 0.0203 0.4076 0.5696 x18

* calculated formation energy: -0.659 eV/atom
* uncorrected energy: -27.964 eV per atom
* magnetic moment: 0.0 μB per formula unit

- The lowest uncorrected energy belongs to which entry?
  ScTaOs2